# 1
Compound: UAlNi
Source: Materials Project
Functional: PBE
Structure: optimized geometry

For the magnetization, the calculation gives 0.65 μB per atom.

It has space group Amm2 (No. 38), with a = 4.0989 Å, b = 11.6233 Å, c = 6.5572 Å, α = 90.00°, β = 90.00° and γ = 90.00°. The distinct sites, in fractional coordinates, are U at (0.0000, 0.0000, 0.0000), U at (0.0000, 0.2143, 0.3577), Al at (0.5000, 0.0000, 0.3382), Al at (0.5000, 0.1183, 0.6904), Ni at (0.0000, 0.0000, 0.5762) and Ni at (0.5000, 0.1648, 0.0732).



# 2
Compound: UAl3Ni2
Source: Materials Project
Functional: PBE
Structure: optimized geometry

For the magnetization, the calculation gives 0.01 μB per atom.

It has space group P6/mmm (No. 191), with a = 5.1472 Å, b = 5.1472 Å, c = 4.0319 Å, α = 90.00°, β = 90.00° and γ = 120.00°. The distinct sites, in fractional coordinates, are U at (0.0000, 0.0000, 0.0000), Al at (0.0000, 0.5000, 0.5000) and Ni at (0.3333, 0.6667, 0.0000).



# 3
Compound: UAlNi4
Source: Materials Project
Functional: PBE
Structure: optimized geometry

It has space group F-43m (No. 216), with a = 6.8839 Å, b = 6.8839 Å, c = 6.8839 Å, α = 90.00°, β = 90.00° and γ = 90.00°. The distinct sites, in fractional coordinates, are U at (0.0000, 0.0000, 0.0000), Al at (0.2500, 0.2500, 0.7500) and Ni at (0.1238, 0.1238, 0.3762).



# 4
Compound: Al4VNi15
Source: Materials Project
Functional: PBE
Structure: optimized geometry

For the magnetization, the calculation gives 0.09 μB per atom.

It has space group P4/mmm (No. 123), with a = 3.5421 Å, b = 3.5421 Å, c = 17.9634 Å, α = 90.00°, β = 90.00° and γ = 90.00°. The distinct sites, in fractional coordinates, are Al at (0.0000, 0.0000, 0.1001), Al at (0.0000, 0.0000, 0.2981), V at (0.0000, 0.0000, 0.5000), Ni at (0.0000, 0.5000, 0.0000), Ni at (0.0000, 0.5000, 0.2001), Ni at (0.0000, 0.5000, 0.4029), Ni at (0.5000, 0.5000, 0.1007), Ni at (0.5000, 0.5000, 0.3006) and Ni at (0.5000, 0.5000, 0.5000).



| no. | ΔH_f (0 K) (eV per atom) |
| --- | --- |
| 1 | -0.2807 |
| 2 | -0.4058 |
| 3 | -0.3473 |
| 4 | -0.4089 |